(1)
The following is a DFT calculation (PBE) of crystalline H2Ru3C8SO8 at its relaxed geometry.

Cell: 11.5285 12.8156 19.1699 Å, 87.10 72.61 63.76°
With the nearest neighbours (Å) after each atom.
Atoms (fractional coordinates):
1 H 0.1033 0.1857 0.3604  2 Ru 1.74-1.89
2 H 0.1164 0.5567 0.9235  2 Ru 1.72-1.85
3 H 0.1432 0.7740 0.5875  2 Ru 1.83-1.84
4 H 0.1766 0.0448 0.8097  2 Ru 1.73-1.88
5 H 0.2555 0.4744 0.8090  2 Ru 1.80-1.84
6 H 0.3797 0.8442 0.7603  2 Ru 1.81-1.83
7 H 0.6203 0.1558 0.2397  2 Ru 1.81-1.83
8 H 0.7445 0.5256 0.1910  2 Ru 1.80-1.84
9 H 0.8234 0.9552 0.1903  2 Ru 1.73-1.88
10 H 0.8568 0.2260 0.4125  2 Ru 1.83-1.84
11 H 0.8836 0.4433 0.0765  2 Ru 1.72-1.85
12 H 0.8967 0.8143 0.6396  2 Ru 1.74-1.89
13 Ru 0.0027 0.8489 0.6718  2 H 1.74-1.84, 2 C 1.89
14 Ru 0.0826 0.3347 0.3328  1 H 1.89, 3 C 1.89-1.92
15 Ru 0.1012 0.6090 0.8408  2 H 1.72-1.80, 2 C 1.89-1.90
16 Ru 0.1544 0.0860 0.7175  1 H 1.88, 3 C 1.89-1.92
17 Ru 0.1863 0.6187 0.5914  1 H 1.83, 3 C 1.90-1.91
18 Ru 0.2039 0.9012 0.8173  2 H 1.73-1.81, 2 C 1.89-1.90
19 Ru 0.2240 0.6091 0.9510  1 H 1.85, 3 C 1.89-1.91
20 Ru 0.3870 0.8740 0.6653  1 H 1.83, 3 C 1.91
21 Ru 0.3987 0.4992 0.8126  1 H 1.84, 3 C 1.90-1.92
22 Ru 0.6013 0.5008 0.1874  1 H 1.84, 3 C 1.90-1.92
23 Ru 0.6130 0.1260 0.3347  1 H 1.83, 3 C 1.91
24 Ru 0.7760 0.3909 0.0490  1 H 1.85, 3 C 1.89-1.91
25 Ru 0.7961 0.0988 0.1827  2 H 1.73-1.81, 2 C 1.89-1.90
26 Ru 0.8137 0.3813 0.4086  1 H 1.83, 3 C 1.90-1.91
27 Ru 0.8456 0.9140 0.2825  1 H 1.88, 3 C 1.89-1.92
28 Ru 0.8988 0.3910 0.1592  2 H 1.72-1.80, 2 C 1.89-1.90
29 Ru 0.9174 0.6653 0.6672  1 H 1.89, 3 C 1.89-1.92
30 Ru 0.9973 0.1511 0.3282  2 H 1.74-1.84, 2 C 1.89
31 C 0.0279 0.5025 0.8419  1 O 1.16
32 C 0.0287 0.9631 0.8874  1 O 1.16
33 C 0.0338 0.8115 0.2347  1 O 1.16
34 C 0.0512 0.4925 0.3266  1 O 1.16
35 C 0.0560 0.0251 0.3859  1 O 1.16
36 C 0.0644 0.7214 0.0219  1 O 1.16
37 C 0.0726 0.2659 0.1140  1 O 1.16
38 C 0.1422 0.0560 0.2462  1 O 1.16
39 C 0.1473 0.3259 0.4149  1 O 1.16
40 C 0.1497 0.1300 0.6222  1 O 1.16
41 C 0.1587 0.6264 0.4978  1 O 1.16
42 C 0.2349 0.1830 0.7320  1 O 1.16
43 C 0.2505 0.2744 0.2533  1 O 1.16
44 C 0.2514 0.4534 0.5900  1 O 1.16
45 C 0.2544 0.4699 0.0001  1 O 1.16
46 C 0.2858 0.9131 0.8874  1 O 1.15
47 C 0.3475 0.6372 0.9843  1 O 1.16
48 C 0.3610 0.6167 0.5583  1 O 1.16
49 C 0.4139 0.8903 0.5629  1 O 1.16
50 C 0.4470 0.4922 0.1752  1 O 1.16
51 C 0.4504 0.3447 0.8413  1 O 1.16
52 C 0.4757 0.4517 0.7091  1 O 1.16
53 C 0.4833 0.2868 0.3458  1 O 1.16
54 C 0.4998 0.0563 0.3297  1 O 1.16
55 C 0.5002 0.9437 0.6703  1 O 1.16
56 C 0.5167 0.7132 0.6542  1 O 1.16
57 C 0.5243 0.5483 0.2909  1 O 1.16
58 C 0.5496 0.6553 0.1587  1 O 1.16
59 C 0.5530 0.5078 0.8248  1 O 1.16
60 C 0.5861 0.1097 0.4371  1 O 1.16
61 C 0.6390 0.3833 0.4417  1 O 1.16
62 C 0.6525 0.3628 0.0157  1 O 1.16
63 C 0.7142 0.0869 0.1126  1 O 1.15
64 C 0.7456 0.5301 0.9999  1 O 1.16
65 C 0.7486 0.5466 0.4100  1 O 1.16
66 C 0.7495 0.7256 0.7467  1 O 1.16
67 C 0.7651 0.8170 0.2680  1 O 1.16
68 C 0.8413 0.3736 0.5022  1 O 1.16
69 C 0.8503 0.8700 0.3778  1 O 1.16
70 C 0.8527 0.6741 0.5851  1 O 1.16
71 C 0.8578 0.9440 0.7538  1 O 1.16
72 C 0.9274 0.7341 0.8860  1 O 1.16
73 C 0.9356 0.2786 0.9781  1 O 1.16
74 C 0.9440 0.9749 0.6141  1 O 1.16
75 C 0.9488 0.5075 0.6734  1 O 1.16
76 C 0.9662 0.1885 0.7653  1 O 1.16
77 C 0.9713 0.0369 0.1126  1 O 1.16
78 C 0.9721 0.4975 0.1581  1 O 1.16
79 S 0.0781 0.6638 0.7202  4 Ru 2.36-2.44
80 S 0.1566 0.9046 0.7045  4 Ru 2.34-2.42
81 S 0.2405 0.7009 0.8420  4 Ru 2.34-2.46
82 S 0.7595 0.2991 0.1580  4 Ru 2.34-2.46
83 S 0.8434 0.0954 0.2955  4 Ru 2.34-2.42
84 S 0.9219 0.3362 0.2798  4 Ru 2.36-2.44
85 O 0.0160 0.5627 0.1600  1 C 1.16
86 O 0.0300 0.5897 0.3234  1 C 1.16
87 O 0.0333 0.2110 0.9357  1 C 1.16
88 O 0.0778 0.9946 0.0691  1 C 1.16
89 O 0.0974 0.9458 0.4187  1 C 1.16
90 O 0.1443 0.6302 0.4403  1 C 1.16
91 O 0.1471 0.1533 0.5633  1 C 1.16
92 O 0.1477 0.7519 0.2053  1 C 1.16
93 O 0.1786 0.1898 0.0862  1 C 1.16
94 O 0.1840 0.3225 0.4655  1 C 1.16
95 O 0.2326 0.9953 0.1973  1 C 1.16
96 O 0.2694 0.3855 0.0291  1 C 1.16
97 O 0.2823 0.2413 0.7426  1 C 1.16
98 O 0.2947 0.3530 0.5907  1 C 1.16
99 O 0.3377 0.9220 0.9282  1 C 1.15
100 O 0.3505 0.2390 0.2048  1 C 1.16
101 O 0.3546 0.4865 0.1664  1 C 1.16
102 O 0.3995 0.3808 0.3470  1 C 1.16
103 O 0.4229 0.6531 0.0058  1 C 1.16
104 O 0.4304 0.8991 0.5008  1 C 1.16
105 O 0.4305 0.0143 0.3265  1 C 1.16
106 O 0.4619 0.6237 0.5330  1 C 1.16
107 O 0.4728 0.5874 0.3517  1 C 1.16
108 O 0.4775 0.2508 0.8584  1 C 1.16
109 O 0.5225 0.7492 0.1416  1 C 1.16
110 O 0.5272 0.4126 0.6483  1 C 1.16
111 O 0.5381 0.3763 0.4670  1 C 1.16
112 O 0.5695 0.9857 0.6735  1 C 1.16
113 O 0.5696 0.1009 0.4992  1 C 1.16
114 O 0.5771 0.3469 0.9942  1 C 1.16
115 O 0.6005 0.6192 0.6530  1 C 1.16
116 O 0.6454 0.5135 0.8336  1 C 1.16
117 O 0.6495 0.7610 0.7952  1 C 1.16
118 O 0.6623 0.0780 0.0718  1 C 1.15
119 O 0.7053 0.6470 0.4093  1 C 1.16
120 O 0.7177 0.7587 0.2574  1 C 1.16
121 O 0.7306 0.6145 0.9709  1 C 1.16
122 O 0.7674 0.0047 0.8027  1 C 1.16
123 O 0.8160 0.6775 0.5345  1 C 1.16
124 O 0.8214 0.8102 0.9138  1 C 1.16
125 O 0.8523 0.2481 0.7947  1 C 1.16
126 O 0.8529 0.8467 0.4367  1 C 1.16
127 O 0.8557 0.3698 0.5597  1 C 1.16
128 O 0.9026 0.0542 0.5813  1 C 1.16
129 O 0.9222 0.0054 0.9309  1 C 1.16
130 O 0.9667 0.7890 0.0643  1 C 1.16
131 O 0.9700 0.4103 0.6766  1 C 1.16
132 O 0.9840 0.4373 0.8400  1 C 1.16

Values from the calculation:
Its uncorrected energy is -994.9 eV for the cell shown.

=====

(2)
The following is a DFT calculation (PBE) of crystalline LiTi4O8 at its relaxed geometry.

Cell: 6.5279 6.5279 6.6331 Å, 106.20 106.20 34.12°
With the nearest neighbours (Å) after each atom.
Atoms (fractional coordinates):
1 Li 0.0000 0.0000 0.0000  5 O 1.93-2.11
2 Ti 0.1209 0.1209 0.7072  4 O 1.79-2.00
3 Ti 0.2187 0.2187 0.2935  4 O 1.87-1.97
4 Ti 0.4147 0.4147 0.6921  4 O 1.88-1.97
5 Ti 0.5171 0.5171 0.2961  5 O 1.90-2.07
6 O 0.0502 0.0502 0.3208  3 Ti 1.96-2.16, 1 Li 2.04
7 O 0.1674 0.1674 0.9886  2 Ti 1.79-1.94
8 O 0.2578 0.2578 0.6294  2 Ti 1.88-1.92
9 O 0.3748 0.3748 0.3563  2 Ti 1.87-1.93
10 O 0.4588 0.4588 0.9980  2 Ti 1.90-1.94, 2 Li 1.98
11 O 0.5798 0.5798 0.6392  4 Ti 2.00-2.19
12 O 0.6833 0.6833 0.2999  3 Ti 1.97-2.07
13 O 0.9533 0.9533 0.6965  1 Li 1.93, 3 Ti 1.97-2.07

Values from the calculation:
Its energy above the most stable polymorph in this dataset is 0.001 eV/atom.

=====

(3)
The following is a DFT calculation (PBE) of crystalline ZnCdTe at its relaxed geometry.

Cell: 5.1390 5.1390 6.8632 Å, 108.59 108.59 90.74°
With the nearest neighbours (Å) after each atom.
Atoms (fractional coordinates):
1 Zn 0.2326 0.7674 0.5000  2 Cd 2.70-2.79, 2 Te 2.71-2.72
2 Zn 0.7674 0.2326 0.0000  2 Cd 2.70-2.79, 2 Te 2.71-2.72
3 Cd 0.4670 0.6231 0.1869  2 Zn 2.70-2.79, 1 Te 2.97
4 Cd 0.6231 0.4670 0.6869  2 Zn 2.70-2.79, 1 Te 2.97
5 Te 0.1414 0.8995 0.8861  2 Zn 2.71-2.72, 1 Cd 2.97
6 Te 0.8995 0.1414 0.3861  2 Zn 2.71-2.72, 1 Cd 2.97

Values from the calculation:
Its uncorrected energy is -11.0 eV for the cell shown.